1.
52
Lattice="7.8715 0.0000 0.0000 0.0000 8.8742 0.0000 -0.0662 0.0000 8.4236" Properties=species:S:1:pos:R:3 comment="CaBe2P2O8 (PBE-GGA, optimized geometry)" magmom_total_mub_per_fu=0.00 space_group="No. 14" formation_energy_ev_per_atom=-3.119 energy_ev_per_atom=-7.30 volume_a3_per_cell=588.41 pbc="T T T"
Ca 1.8952 0.7552 3.2619
Ca 1.8621 3.6819 7.4737
Ca 5.9431 5.1923 0.9499
Ca 5.9100 8.1189 5.1618
Be 0.4957 0.7032 6.4817
Be 0.5288 3.7339 2.2698
Be 3.3525 6.1648 3.7339
Be 3.3194 7.1465 7.9457
Be 4.4859 1.7277 0.4780
Be 4.4528 2.7094 4.6898
Be 7.2764 5.1403 6.1538
Be 7.3095 8.1710 1.9420
P 0.4516 6.1931 3.7046
P 0.4185 7.1182 7.9164
P 3.4064 0.7358 6.4344
P 3.4395 3.7012 2.2226
P 4.3657 5.1729 6.2011
P 4.3988 8.1383 1.9892
P 7.3868 1.7560 0.5072
P 7.3536 2.6811 4.7190
O 0.0202 0.7744 1.6077
O -0.0129 3.6627 5.8195
O 0.3825 5.6546 7.3705
O 0.4156 7.6567 3.1587
O 0.4655 1.7085 7.7562
O 0.4986 2.7285 3.5444
O 1.8536 5.8237 4.1757
O 1.8205 7.4876 8.3875
O 1.9881 0.7083 5.7890
O 2.0212 3.7288 1.5772
O 3.3797 1.7218 7.6214
O 3.4128 2.7152 3.4096
O 3.3897 5.6203 7.3292
O 3.4228 7.6910 3.1174
O 3.8811 0.6543 1.5742
O 3.8480 3.7828 5.7860
O 3.9572 5.0914 2.6376
O 3.9241 8.2199 6.8494
O 4.3824 1.1832 5.3062
O 4.4155 3.2539 1.0944
O 4.3925 6.1589 5.0141
O 4.4256 7.1523 0.8023
O 5.7840 5.1454 6.8464
O 5.8172 8.1659 2.6346
O 5.9847 1.3866 0.0362
O 5.9516 3.0505 4.2480
O 7.3067 6.1456 4.8792
O 7.3398 7.1656 0.6674
O 7.3896 1.2175 5.2649
O 7.4227 3.2196 1.0531
O 7.8182 5.2115 2.6041
O 7.7851 8.0998 6.8159

***

2.
4
Lattice="0.0000 4.7974 4.7974 4.7974 0.0000 4.7974 4.7974 4.7974 0.0000" Properties=species:S:1:pos:R:3 comment="Rb3W (PBE-GGA, optimized geometry)" magmom_total_mub_per_fu=5.18 space_group="No. 225" formation_energy_ev_per_atom=1.544 energy_ev_per_atom=-2.43 volume_a3_per_cell=220.83 pbc="T T T"
Rb 0.0000 0.0000 0.0000
Rb 2.3987 2.3987 2.3987
Rb 7.1962 7.1962 7.1962
W 4.7974 4.7974 4.7974

***

3.
14
Lattice="3.7741 2.1790 6.0629 -3.7741 2.1790 6.0629 0.0000 -4.3579 6.0629" Properties=species:S:1:pos:R:3 comment="Mg2Sc3WS8 (PBE-GGA, optimized geometry)" magmom_total_mub_per_fu=3.00 space_group="No. 166" formation_energy_ev_per_atom=-1.716 energy_ev_per_atom=-6.30 volume_a3_per_cell=299.15 pbc="T T T"
Mg 0.0000 0.0000 2.2787
Mg 0.0000 0.0000 15.9101
Sc -1.8870 -1.0895 6.0629
Sc -1.8870 1.0895 12.1258
Sc 0.0000 2.1790 6.0629
W 0.0000 0.0000 9.0944
S 0.0000 0.0000 4.6975
S 0.0000 -2.0156 7.5875
S -1.7455 1.0078 7.5875
S -1.7455 -1.0078 10.6013
S 1.7455 1.0078 7.5875
S 1.7455 -1.0078 10.6013
S 0.0000 2.0156 10.6013
S 0.0000 0.0000 13.4913

***

4.
16
Lattice="4.6744 0.0000 0.0000 0.0000 5.9815 0.0000 0.0000 0.0000 10.1590" Properties=species:S:1:pos:R:3 comment="Mg6FeCo (PBE-GGA, optimized geometry)" magmom_total_mub_per_fu=3.87 formation_energy_ev_per_atom=0.214 energy_ev_per_atom=-2.93 relative_energy_mev_per_atom=0 volume_a3_per_cell=284.05 pbc="T T T"
Mg 0.0000 1.5932 0.9317
Mg 0.0000 4.3883 0.9317
Mg 0.0000 2.9907 8.5048
Mg 2.3372 1.3949 9.2145
Mg 2.3372 4.5866 9.2145
Mg 2.3372 2.9907 6.7285
Mg 0.0000 4.5839 6.0112
Mg 0.0000 1.3976 6.0112
Mg 0.0000 0.0000 3.4253
Mg 2.3372 4.3856 4.1350
Mg 2.3372 1.5959 4.1350
Mg 2.3372 0.0000 1.6490
Fe 0.0000 2.9907 3.3119
Fe 0.0000 0.0000 8.3914
Co 2.3372 2.9907 1.7983
Co 2.3372 0.0000 6.8778

***

5.
52
Lattice="10.3187 0.0000 0.0000 0.0000 10.3187 0.0000 0.0000 0.0000 7.2319" Properties=species:S:1:pos:R:3 comment="Eu2Si3Ni8 (PBE-GGA, optimized geometry)" magmom_total_mub_per_fu=13.15 space_group="No. 137" formation_energy_ev_per_atom=-0.215 energy_ev_per_atom=-6.60 relative_energy_mev_per_atom=323 volume_a3_per_cell=770.02 pbc="T T T"
Eu 0.0805 2.5797 0.8271
Eu 2.5797 0.0805 4.4431
Eu 2.5797 5.0789 4.4431
Eu 5.0789 2.5797 0.8271
Eu 5.2399 7.7390 6.4048
Eu 7.7390 5.2399 2.7888
Eu 7.7390 10.2382 2.7888
Eu 10.2382 7.7390 6.4048
Si 0.3382 5.4976 1.8080
Si 0.3382 9.9805 1.8080
Si 2.5797 7.7390 0.1263
Si 2.5797 7.7390 3.4896
Si 4.8212 5.4976 1.8080
Si 4.8212 9.9805 1.8080
Si 5.4976 0.3382 5.4239
Si 5.4976 4.8212 5.4239
Si 7.7390 2.5797 3.7423
Si 7.7390 2.5797 7.1056
Si 9.9805 0.3382 5.4239
Si 9.9805 4.8212 5.4239
Ni 0.3058 1.3316 3.4217
Ni 0.3058 3.8278 3.4217
Ni 0.9293 7.7390 2.0701
Ni 1.3316 0.3058 7.0377
Ni 1.3316 4.8536 7.0377
Ni 1.3945 2.5797 5.4569
Ni 2.5797 1.3945 1.8409
Ni 2.5797 3.7649 1.8409
Ni 2.5797 6.0887 1.5459
Ni 2.5797 9.3894 1.5459
Ni 3.7649 2.5797 5.4569
Ni 3.8278 0.3058 7.0377
Ni 3.8278 4.8536 7.0377
Ni 4.2300 7.7390 2.0701
Ni 4.8536 1.3316 3.4217
Ni 4.8536 3.8278 3.4217
Ni 5.4652 6.4910 3.8102
Ni 5.4652 8.9871 3.8102
Ni 6.0887 2.5797 5.1618
Ni 6.4910 5.4652 0.1942
Ni 6.4910 10.0129 0.1942
Ni 6.5539 7.7390 1.7750
Ni 7.7390 0.9293 5.6860
Ni 7.7390 4.2300 5.6860
Ni 7.7390 6.5539 5.3910
Ni 7.7390 8.9242 5.3910
Ni 8.9242 7.7390 1.7750
Ni 8.9871 5.4652 0.1942
Ni 8.9871 10.0129 0.1942
Ni 9.3894 2.5797 5.1618
Ni 10.0129 6.4910 3.8102
Ni 10.0129 8.9871 3.8102

***

6.
80
Lattice="10.0353 0.0000 0.0000 -5.0177 8.6908 0.0000 0.0000 0.0000 8.2137" Properties=species:S:1:pos:R:3 comment="Mg2Be3P3H13O19 (PBE-GGA, optimized geometry)" magmom_total_mub_per_fu=0.00 space_group="No. 173" formation_energy_ev_per_atom=-2.167 energy_ev_per_atom=-6.06 relative_energy_mev_per_atom=0 volume_a3_per_cell=716.36 pbc="T T T"
Mg 0.0000 5.7939 0.0000
Mg 0.0000 5.7939 2.8848
Mg 5.0177 2.8969 4.1069
Mg 5.0177 2.8969 6.9916
Be -0.1824 1.6996 6.7802
Be -3.4545 7.9990 6.7802
Be 1.3807 1.0078 2.6734
Be 3.6369 7.6831 6.7802
Be 8.4722 0.6919 2.6734
Be 5.2001 6.9912 2.6734
P -0.3054 2.7380 1.2329
P -2.4938 7.5864 1.2329
P 2.2184 1.6335 5.3397
P 2.7992 7.0573 1.2329
P 7.5115 1.1045 5.3397
P 5.3231 5.9529 5.3397
H 0.0000 0.0000 4.0746
H 0.0000 0.0000 8.1814
H -1.6172 4.0376 7.3052
H -2.3388 5.4180 6.8504
H -0.7705 3.4826 4.2504
H -1.1064 4.7214 5.1422
H -1.6164 7.6168 4.2504
H 1.4949 3.9564 6.8504
H -0.3756 7.2883 5.1422
H -0.7124 8.0725 7.3052
H 2.6308 2.4086 0.1436
H 4.1738 0.6836 2.7435
H 1.4820 5.3719 5.1422
H 2.6881 3.4193 3.1983
H 2.3295 5.2715 7.3052
H 3.5356 3.3189 1.0353
H 0.8439 8.0073 6.8504
H 2.3869 6.2823 4.2504
H 5.7300 0.6183 3.1983
H 5.3932 1.4025 1.0353
H 3.5227 4.7345 2.7435
H 6.6341 1.0740 0.1436
H 6.1241 3.9694 1.0353
H 5.7881 5.2083 0.1436
H 7.3564 3.2728 2.7435
H 6.6348 4.6532 3.1983
O 0.0000 0.0000 3.0942
O 0.0000 0.0000 7.2011
O -3.6697 6.4261 6.4030
O -3.8832 6.9164 1.3860
O -0.8537 2.5112 8.0071
O -1.4586 4.9506 6.9515
O -0.9087 4.4514 4.2086
O 0.9695 1.8697 1.3860
O 2.1039 0.0952 5.4928
O -2.4160 8.1746 8.0071
O -0.0295 4.2393 1.4253
O -1.3316 6.5968 1.4253
O 1.2874 2.2998 6.4030
O 2.6354 0.0350 2.2962
O 1.7479 1.9950 3.9002
O -0.7083 7.2521 4.2086
O 1.4596 4.9524 6.9515
O -0.0010 7.4787 6.9515
O 3.6566 2.1452 5.5322
O 1.6170 5.6782 4.2086
O 3.4007 3.0126 0.1017
O 1.3611 6.5456 1.4253
O 5.0187 1.2121 2.8447
O 3.5581 3.7385 2.8447
O 5.7260 1.4387 0.1017
O 3.2698 6.6959 8.0071
O 2.3823 8.6558 6.4030
O 3.7303 6.3911 2.2962
O 6.3492 2.0941 5.5322
O 5.0472 4.4515 5.5322
O 7.4337 0.5162 3.9002
O 2.9137 8.5956 1.3860
O 4.0482 6.8212 5.4928
O 5.9263 4.2395 0.1017
O 6.4762 3.7402 2.8447
O 5.8714 6.1796 3.9002
O 8.9009 1.7745 5.4928
O 8.6873 2.2648 2.2962

***

7.
6
Lattice="4.3207 0.0000 0.0000 0.0000 4.3207 0.0000 0.0000 0.0000 5.6446" Properties=species:S:1:pos:R:3 comment="ScClO (PBE-GGA, optimized geometry)" magmom_total_mub_per_fu=0.00 space_group="No. 129" formation_energy_ev_per_atom=-2.378 energy_ev_per_atom=-6.52 volume_a3_per_cell=105.38 pbc="T T T"
Sc 1.0802 1.0802 1.2263
Sc 3.2405 3.2405 4.4183
Cl 1.0802 3.2405 2.8223
Cl 3.2405 1.0802 2.8223
O 1.0802 1.0802 5.0864
O 3.2405 3.2405 0.5582

***

8.
14
Lattice="-2.0944 4.9623 6.1199 2.0944 -4.9623 6.1199 2.0944 4.9623 -6.1199" Properties=species:S:1:pos:R:3 comment="Er3Ga8Ir3 (PBE-GGA, optimized geometry)" magmom_total_mub_per_fu=0.00 space_group="No. 71" formation_energy_ev_per_atom=-0.651 energy_ev_per_atom=-5.25 volume_a3_per_cell=254.41 pbc="T T T"
Er 0.0000 0.0000 0.0000
Er 0.0000 0.0000 4.0234
Er 0.0000 0.0000 8.2164
Ga 2.0944 -1.2689 2.0312
Ga 2.0944 -2.1190 4.5803
Ga 2.0944 1.2689 2.0312
Ga 0.0000 2.8433 1.5396
Ga 2.0944 2.1190 4.5803
Ga 0.0000 3.6934 4.0887
Ga 0.0000 7.0813 1.5396
Ga 0.0000 6.2311 4.0887
Ir 2.0944 2.8307 0.0000
Ir 0.0000 4.9623 0.0000
Ir 0.0000 2.1315 6.1199

***

- What is the formula in the fourth record?
  Mg6FeCo